# 1
# PBE Sr2Mg, relaxed
data_Sr2Mg
_cell_length_a 7.5476
_cell_length_b 7.5476
_cell_length_c 8.7668
_cell_angle_alpha 100.90
_cell_angle_beta 100.90
_cell_angle_gamma 32.75
_space_group_name_H-M_alt 'P 1'
_space_group_IT_number 1
_space_group_name_Hall 'P 1'
loop_
_atom_site_label
_atom_site_fract_x
_atom_site_fract_y
_atom_site_fract_z
_atom_site_occupancy
Sr1 0.0000 0.0000 0.0000 1
Sr2 0.0452 0.0452 0.5485 1
Sr3 0.3289 0.3289 0.6624 1
Sr4 0.7021 0.7021 0.2893 1
Mg1 0.3912 0.3912 0.2446 1
Mg2 0.7126 0.7126 0.8908 1
# energy relative to the elements = 0.09 eV/atom

# 2
# PBE Ga3Sb7S8Cl14, relaxed
data_Ga3Sb7S8Cl14
_cell_length_a 8.9996
_cell_length_b 12.2976
_cell_length_c 17.4686
_cell_angle_alpha 90.00
_cell_angle_beta 93.12
_cell_angle_gamma 90.00
_space_group_name_H-M_alt 'P 1'
_space_group_IT_number 1
_space_group_name_Hall 'P 1'
loop_
_atom_site_label
_atom_site_fract_x
_atom_site_fract_y
_atom_site_fract_z
_atom_site_occupancy
Ga1 0.2200 0.0000 0.0368 1
Ga2 0.2339 0.9892 0.4700 1
Ga3 0.2668 0.4766 0.2642 1
Ga4 0.7332 0.9766 0.7358 1
Ga5 0.7661 0.4892 0.5300 1
Ga6 0.7800 0.5000 0.9632 1
Sb1 0.0624 0.2141 0.8492 1
Sb2 0.0721 0.7609 0.6561 1
Sb3 0.1850 0.4881 0.7553 1
Sb4 0.2510 0.2069 0.6555 1
Sb5 0.2562 0.7725 0.8593 1
Sb6 0.4533 0.2820 0.8527 1
Sb7 0.4621 0.6928 0.6755 1
Sb8 0.5379 0.1928 0.3245 1
Sb9 0.5467 0.7820 0.1473 1
Sb10 0.7438 0.2725 0.1407 1
Sb11 0.7490 0.7069 0.3445 1
Sb12 0.8150 0.9881 0.2447 1
Sb13 0.9279 0.2609 0.3439 1
Sb14 0.9376 0.7141 0.1508 1
S1 0.0238 0.2798 0.7130 1
S2 0.0275 0.6972 0.7905 1
S3 0.2220 0.3789 0.8932 1
S4 0.2321 0.5977 0.6195 1
S5 0.2994 0.1171 0.8260 1
S6 0.3106 0.8581 0.6930 1
S7 0.4119 0.6103 0.8092 1
S8 0.4125 0.3668 0.7173 1
S9 0.5875 0.8668 0.2827 1
S10 0.5881 0.1103 0.1908 1
S11 0.6894 0.3581 0.3070 1
S12 0.7006 0.6171 0.1740 1
S13 0.7679 0.0977 0.3805 1
S14 0.7780 0.8789 0.1068 1
S15 0.9725 0.1972 0.2095 1
S16 0.9762 0.7798 0.2870 1
Cl1 0.0190 0.4877 0.2466 1
Cl2 0.0460 0.9371 0.9542 1
Cl3 0.0604 0.0359 0.5496 1
Cl4 0.1617 0.0469 0.3520 1
Cl5 0.1836 0.9308 0.1522 1
Cl6 0.1948 0.3214 0.5466 1
Cl7 0.2141 0.1776 0.0380 1
Cl8 0.2224 0.6663 0.9740 1
Cl9 0.2632 0.8132 0.4712 1
Cl10 0.3118 0.3990 0.3757 1
Cl11 0.3478 0.6470 0.2626 1
Cl12 0.3611 0.3757 0.1757 1
Cl13 0.4406 0.0780 0.5020 1
Cl14 0.4410 0.9454 0.0023 1
Cl15 0.5590 0.4454 0.9977 1
Cl16 0.5594 0.5780 0.4980 1
Cl17 0.6389 0.8757 0.8243 1
Cl18 0.6522 0.1470 0.7374 1
Cl19 0.6882 0.8990 0.6243 1
Cl20 0.7368 0.3132 0.5288 1
Cl21 0.7776 0.1663 0.0260 1
Cl22 0.7859 0.6776 0.9620 1
Cl23 0.8052 0.8214 0.4534 1
Cl24 0.8164 0.4308 0.8478 1
Cl25 0.8383 0.5469 0.6480 1
Cl26 0.9396 0.5359 0.4504 1
Cl27 0.9540 0.4371 0.0458 1
Cl28 0.9810 0.9877 0.7534 1
# energy relative to the elements = -1.12 eV/atom

# 3
# PBE Lu3NbO7, relaxed
data_Lu3NbO7
_cell_length_a 8.0251
_cell_length_b 5.2539
_cell_length_c 7.3940
_cell_angle_alpha 90.00
_cell_angle_beta 117.31
_cell_angle_gamma 90.00
_space_group_name_H-M_alt 'P 1'
_space_group_IT_number 1
_space_group_name_Hall 'P 1'
loop_
_atom_site_label
_atom_site_fract_x
_atom_site_fract_y
_atom_site_fract_z
_atom_site_occupancy
Lu1 0.0000 0.0000 0.0000 1
Lu2 0.0000 0.0000 0.5000 1
Lu3 0.2551 0.4702 0.3800 1
Lu4 0.2551 0.5298 0.8800 1
Lu5 0.7435 0.4732 0.1220 1
Lu6 0.7435 0.5268 0.6220 1
Nb1 0.5010 0.0057 0.7712 1
Nb2 0.5010 0.9943 0.2712 1
O1 0.2432 0.2483 0.6592 1
O2 0.2432 0.7517 0.1592 1
O3 0.2568 0.2377 0.0955 1
O4 0.2568 0.7623 0.5955 1
O5 0.4733 0.2166 0.4900 1
O6 0.4733 0.7834 0.9900 1
O7 0.5249 0.2219 0.0043 1
O8 0.5249 0.7781 0.5043 1
O9 0.7462 0.2390 0.8384 1
O10 0.7462 0.7610 0.3384 1
O11 0.7471 0.2413 0.4093 1
O12 0.7471 0.7587 0.9093 1
O13 0.9989 0.2393 0.2495 1
O14 0.9989 0.7607 0.7495 1
# energy relative to the elements = -3.61 eV/atom

# 4
# PBE Ag2Se, relaxed
data_Ag2Se
_cell_length_a 4.8908
_cell_length_b 6.6729
_cell_length_c 11.1363
_cell_angle_alpha 90.00
_cell_angle_beta 90.00
_cell_angle_gamma 90.00
_space_group_name_H-M_alt 'P 1'
_space_group_IT_number 1
_space_group_name_Hall 'P 1'
loop_
_atom_site_label
_atom_site_fract_x
_atom_site_fract_y
_atom_site_fract_z
_atom_site_occupancy
Ag1 0.0171 0.1932 0.2493 1
Ag2 0.0464 0.5283 0.6482 1
Ag3 0.4536 0.4717 0.1482 1
Ag4 0.4829 0.8068 0.7493 1
Ag5 0.5171 0.3068 0.7507 1
Ag6 0.5464 0.9717 0.3518 1
Ag7 0.9536 0.0283 0.8518 1
Ag8 0.9829 0.6932 0.2507 1
Se1 0.0502 0.9432 0.4185 1
Se2 0.4498 0.0568 0.9185 1
Se3 0.5502 0.5568 0.5815 1
Se4 0.9498 0.4432 0.0815 1
# energy relative to the elements = -0.17 eV/atom

# 5
# PBE Bi4Te2Br2O9, relaxed
data_Bi4Te2Br2O9
_cell_length_a 5.6651
_cell_length_b 5.6651
_cell_length_c 9.9139
_cell_angle_alpha 90.00
_cell_angle_beta 90.00
_cell_angle_gamma 90.00
_space_group_name_H-M_alt 'P 1'
_space_group_IT_number 1
_space_group_name_Hall 'P 1'
loop_
_atom_site_label
_atom_site_fract_x
_atom_site_fract_y
_atom_site_fract_z
_atom_site_occupancy
Bi1 0.0000 0.0000 0.0000 1
Bi2 0.0000 0.5000 0.7440 1
Bi3 0.5000 0.0000 0.7440 1
Bi4 0.5000 0.5000 0.9863 1
Te1 0.0000 0.0000 0.5529 1
Te2 0.5000 0.5000 0.4831 1
Br1 0.0000 0.5000 0.1575 1
Br2 0.5000 0.0000 0.1575 1
O1 0.2404 0.2404 0.5131 1
O2 0.2404 0.7596 0.5131 1
O3 0.2440 0.2440 0.8701 1
O4 0.2440 0.7560 0.8701 1
O5 0.5000 0.5000 0.6756 1
O6 0.7560 0.2440 0.8701 1
O7 0.7560 0.7560 0.8701 1
O8 0.7596 0.2404 0.5131 1
O9 0.7596 0.7596 0.5131 1
# energy relative to the elements = -1.36 eV/atom
# relative energy among the computed polymorphs = 0.122 eV per atom

# 6
# PBE KHfMg6O7, relaxed
data_KHfMg6O7
_cell_length_a 4.5385
_cell_length_b 4.5385
_cell_length_c 9.1267
_cell_angle_alpha 90.00
_cell_angle_beta 90.00
_cell_angle_gamma 90.00
_space_group_name_H-M_alt 'P 1'
_space_group_IT_number 1
_space_group_name_Hall 'P 1'
loop_
_atom_site_label
_atom_site_fract_x
_atom_site_fract_y
_atom_site_fract_z
_atom_site_occupancy
K1 0.0000 0.0000 0.0000 1
Hf1 0.0000 0.0000 0.4951 1
Mg1 0.0000 0.5000 0.2134 1
Mg2 0.0000 0.5000 0.7533 1
Mg3 0.5000 0.0000 0.2134 1
Mg4 0.5000 0.0000 0.7533 1
Mg5 0.5000 0.5000 0.5088 1
Mg6 0.5000 0.5000 0.9711 1
O1 0.0000 0.0000 0.2717 1
O2 0.0000 0.0000 0.7180 1
O3 0.0000 0.5000 0.5119 1
O4 0.0000 0.5000 0.9753 1
O5 0.5000 0.0000 0.5119 1
O6 0.5000 0.0000 0.9753 1
O7 0.5000 0.5000 0.7394 1
# energy relative to the elements = -2.38 eV/atom
# relative energy among the computed polymorphs = 0.224 eV per atom